Li6Fe9P8O32 | PBE with a Hubbard U | optimized geometry

Its space-group type is P-1, No. 2. The calculation puts the theoretical density at 3419 kg/m3. For the energy of formation, the calculation gives -2385.7 meV per atom. The value obtained for the total energy is -378.250 eV/cell. The spin magnetization is 36.000 μB/cell.

Lattice parameters (Å, degrees): 8.8336 9.0172 9.1001 111.36 99.89 102.55
Fractional coordinates of all 55 atoms:
Li 0.0353 0.2691 0.2686
Li 0.3301 0.8183 0.3627
Li 0.3648 0.6228 0.0051
Li 0.6352 0.3772 0.9949
Li 0.6699 0.1817 0.6373
Li 0.9647 0.7309 0.7314
Fe 0.0000 0.0000 0.5000
Fe 0.0000 0.5000 0.0000
Fe 0.1949 0.2306 0.9319
Fe 0.2919 0.6348 0.5747
Fe 0.3114 0.2063 0.4622
Fe 0.5000 0.0000 0.0000
Fe 0.6886 0.7937 0.5378
Fe 0.7081 0.3652 0.4253
Fe 0.8051 0.7694 0.0681
P 0.0414 0.3873 0.6546
P 0.1659 0.8857 0.0993
P 0.3379 0.0364 0.7194
P 0.4051 0.4700 0.2837
P 0.5949 0.5300 0.7163
P 0.6621 0.9636 0.2806
P 0.8341 0.1143 0.9007
P 0.9586 0.6127 0.3454
O 0.0089 0.1761 0.0176
O 0.1023 0.5685 0.6713
O 0.1041 0.3876 0.8282
O 0.1055 0.2625 0.5301
O 0.1454 0.6753 0.4021
O 0.1543 0.0223 0.7016
O 0.1686 0.9958 0.2780
O 0.2094 0.7270 0.1009
O 0.2817 0.3682 0.3424
O 0.2829 0.9848 0.0374
O 0.3261 0.4619 0.1142
O 0.3790 0.8866 0.7424
O 0.3844 0.0497 0.5688
O 0.4251 0.1950 0.8846
O 0.4414 0.5832 0.7253
O 0.4539 0.6565 0.4167
O 0.5461 0.3435 0.5833
O 0.5586 0.4168 0.2747
O 0.5749 0.8050 0.1154
O 0.6156 0.9503 0.4312
O 0.6210 0.1134 0.2576
O 0.6739 0.5381 0.8858
O 0.7171 0.0152 0.9626
O 0.7183 0.6318 0.6576
O 0.7906 0.2730 0.8991
O 0.8314 0.0042 0.7220
O 0.8457 0.9777 0.2984
O 0.8546 0.3247 0.5979
O 0.8945 0.7375 0.4699
O 0.8959 0.6124 0.1718
O 0.8977 0.4315 0.3287
O 0.9911 0.8239 0.9824